# 1
{
  "formula": "MgV4O7F5",
  "functional": "PBE with a Hubbard U",
  "state": "relaxed",
  "lattice_angstrom": [[1.789, 2.600, -4.064], [-0.672, 5.378, -0.174], [6.408, 3.418, 5.223]],
  "species": ["Mg", "O", "O", "O", "O", "O", "O", "O", "V", "V", "V", "V", "F", "F", "F", "F", "F"],
  "frac_coords": [[0.312, 0.375, 0.104], [0.528, 0.748, 0.387], [0.427, 0.746, 0.675], [0.580, 0.245, 0.942], [0.568, 0.228, 0.322], [0.431, 0.720, 0.095], [0.082, 0.238, 0.420], [0.057, 0.722, 0.892], [0.714, 0.503, 0.263], [0.279, 0.528, 0.743], [0.982, 0.005, 0.977], [0.467, 0.008, 0.480], [0.917, 0.753, 0.582], [0.948, 0.717, 0.176], [0.080, 0.248, 0.821], [0.474, 0.241, 0.624], [0.015, 0.237, 0.126]],
  "formation_enthalpy_0k_ev_per_atom": -2.6951,
  "final_energy_ev_per_atom": -6.708,
  "de_polymorph_ev_per_atom": 0.0276,
  "vol_a3_per_cell": 206.9,
  "magnetic_moment_mub_per_atom": 0.176
}

=====

# 2
{
  "formula": "MgCo5SbO12",
  "functional": "PBE with a Hubbard U",
  "state": "relaxed",
  "lattice_angstrom": [[0.880, -4.682, -1.649], [3.273, -0.699, -3.974], [7.841, -0.679, 6.700]],
  "species": ["O", "O", "O", "O", "O", "O", "O", "O", "O", "O", "O", "O", "Co", "Co", "Co", "Co", "Co", "Mg", "Sb"],
  "frac_coords": [[0.675, 0.332, 0.090], [0.637, 0.000, 0.905], [0.019, 0.337, 0.896], [0.826, 0.000, 0.402], [0.198, 0.000, 0.603], [0.161, 0.297, 0.405], [0.355, 0.663, 0.896], [0.006, 0.668, 0.090], [0.311, 0.000, 0.108], [0.512, 0.314, 0.591], [0.826, 0.686, 0.591], [0.458, 0.703, 0.405], [0.830, 0.328, 0.514], [0.495, 0.000, 0.501], [0.159, 0.672, 0.514], [0.670, 0.666, 0.999], [0.335, 0.334, 0.999], [0.138, 0.000, 0.278], [0.005, 0.000, 0.979]],
  "formation_enthalpy_0k_ev_per_atom": -1.3377,
  "final_energy_ev_per_atom": -5.770,
  "de_polymorph_ev_per_atom": 0.0345,
  "vol_a3_per_cell": 236.7,
  "magnetic_moment_mub_per_atom": 0.535
}